The following is a PBE calculation of an optimized crystal structure of Tb3NiGe2, from Materials Project.

Cell: 11.420 4.186 11.276 Å, 90.00 90.00 90.00°
Space group Pnma (No. 62)
Asymmetric unit:
1 Tb 0.055 0.250 0.127
2 Tb 0.118 0.750 0.559
3 Tb 0.220 0.250 0.805
4 Ni 0.127 0.250 0.371
5 Ge 0.019 0.750 0.312
6 Ge 0.194 0.750 0.001

## Properties
- formation energy (eV per atom) = -0.7837
- total DFT energy (no corrections) (eV per atom) = -5.605

=====

The following is a PBE calculation of an optimized crystal structure of Tb2NiGe6, from Materials Project.

Cell: 4.060 4.025 21.424 Å, 90.00 90.00 90.00°
Space group Amm2 (No. 38)
Asymmetric unit:
1 Tb 0.000 0.000 0.000
2 Tb 0.000 0.000 0.337
3 Ni 0.500 0.000 0.778
4 Ge 0.000 0.000 0.605
5 Ge 0.000 0.000 0.722
6 Ge 0.500 0.000 0.104
7 Ge 0.500 0.000 0.221
8 Ge 0.500 0.000 0.460
9 Ge 0.500 0.000 0.886

## Properties
- formation energy (eV per atom) = -0.5245
- total DFT energy (no corrections) (eV per atom) = -5.279

=====

The following is a PBE calculation of an optimized crystal structure of ThNiGe2, from Materials Project.

Cell: 4.267 16.628 4.266 Å, 90.00 90.00 90.00°
Space group Cmcm (No. 63)
Asymmetric unit:
1 Th 0.000 0.108 0.250
2 Ni 0.000 0.318 0.250
3 Ge 0.000 0.249 0.750
4 Ge 0.000 0.459 0.250

## Properties
- formation energy (eV per atom) = -0.7329
- total DFT energy (no corrections) (eV per atom) = -6.343

=====

The following is a PBE calculation of an optimized crystal structure of Ti6Ni16Ge7, from Materials Project.

Cell: 11.412 11.412 11.412 Å, 90.00 90.00 90.00°
Space group Fm-3m (No. 225)
Asymmetric unit:
1 Ti 0.000 0.000 0.197
2 Ni 0.118 0.118 0.382
3 Ni 0.165 0.165 0.165
4 Ge 0.000 0.000 0.500
5 Ge 0.000 0.250 0.250

## Properties
- formation energy (eV per atom) = -0.4915
- total DFT energy (no corrections) (eV per atom) = -6.430

=====

The following is a PBE calculation of an optimized crystal structure of TmNiGe3, from Materials Project.

Cell: 4.083 21.552 4.053 Å, 90.00 90.00 90.00°
Space group Cmmm (No. 65)
Asymmetric unit:
1 Tm 0.000 0.169 0.000
2 Ni 0.000 0.388 0.500
3 Ge 0.000 0.058 0.500
4 Ge 0.000 0.283 0.500
5 Ge 0.000 0.443 0.000

## Properties
- formation energy (eV per atom) = -0.5386
- total DFT energy (no corrections) (eV per atom) = -5.364

=====

The following is a PBE calculation of an optimized crystal structure of TmNiGe, from Materials Project.

Cell: 6.811 4.195 7.253 Å, 90.00 90.00 90.00°
Space group Pnma (No. 62)
Asymmetric unit:
1 Tm 0.007 0.250 0.207
2 Ni 0.195 0.750 0.418
3 Ge 0.198 0.250 0.589

## Properties
- formation energy (eV per atom) = -0.8149
- total DFT energy (no corrections) (eV per atom) = -5.775

=====

Which of these has the highest total DFT energy (no corrections)?
Tb2NiGe6

=====

formation energy of number 6 (TmNiGe)?
-0.8149 eV per atom

=====

Which value of total DFT energy (no corrections) does entry 6 give?
-5.775 eV per atom